Record 1
# Ge3Mo5

A geometry-optimized Ge3Mo5 structure (GGA-PBE, the Materials Project).

Structure (extended XYZ):
```
16
Lattice="3.9143 -3.2544 0.6292 4.6343 4.9719 -3.1136 -1.1338 0.0655 7.3925" Properties=species:S:1:pos:R:3 pbc="T T T"
Ge 5.7461 0.5743 -1.4163
Ge 4.3094 -0.4645 2.1485
Ge 2.2478 -2.3995 4.9653
Ge 2.8025 1.1431 -1.0681
Ge 3.1054 2.2475 2.7596
Ge 5.1670 4.1826 -0.0572
Mo 2.7451 0.0718 4.2004
Mo 4.6697 1.7113 0.7076
Mo 6.6268 0.0840 1.0222
Mo 4.7022 -1.5555 4.5150
Mo 4.0139 -1.2841 -0.2525
Mo 5.6173 1.4204 3.7611
Mo 7.3007 2.5399 -0.9209
Mo 4.5347 3.0016 -2.2319
Mo 1.7975 0.3627 1.1469
Mo 0.1141 -0.7569 5.8290
```

Results
SG: Cmcm, No. 63
Total DFT energy (no corrections) in hartree per atom: -0.3133
Calculated density in g/cm3: 9.327
Calculated formation energy in eV/atom: -0.01

=====

Record 2
# LiCr2S4

A geometry-optimized LiCr2S4 structure (GGA-PBE, the Materials Project).

Structure (extended XYZ):
```
7
Lattice="-0.9116 -1.9718 6.5593 -0.2001 -4.6143 5.1392 4.9086 -0.1219 2.6860" Properties=species:S:1:pos:R:3 pbc="T T T"
Li 1.8985 -3.3540 7.1922
Cr 0.1099 -4.9949 9.3495
Cr 3.6871 -1.7131 5.0349
S 4.3197 -2.5950 6.9930
S -0.5228 -4.1129 7.3914
S 1.4628 -5.6446 11.2363
S 2.3341 -1.0634 3.1481
```

Results
SG: C2/m, No. 12
Total DFT energy (no corrections) in hartree per atom: -0.2264
Calculated density in g/cm3: 3.656
Calculated formation energy in eV/atom: -1.06